No. 1
AlBO3: optimized geometry, PBE-GGA.

Cell: 5.314 5.314 5.314 Å, 50.16 50.16 50.16°
Fractional coordinates of all 10 atoms:
O: 0.250 0.558 0.942
O: 0.058 0.750 0.442
O: 0.558 0.942 0.250
B: 0.750 0.750 0.750
Al: 0.500 0.500 0.500
Al: 0.000 0.000 0.000
O: 0.942 0.250 0.558
O: 0.750 0.442 0.058
B: 0.250 0.250 0.250
O: 0.442 0.058 0.750

Calculated values
Total energy after the MP2020 corrections in Ha/atom: -0.3003
Crystal system: trigonal
Magnetization in μB per atom: 0.00
Space group: R-3c, No. 167
ΔH_f (0 K) in eV per formula unit: -15.59

---

No. 2
LiIrO2: optimized geometry, PBE-GGA.

Cell: 5.546 5.546 9.414 Å, 83.96 83.96 120.27°
Fractional coordinates of all 24 atoms:
Ir: 0.834 0.668 0.498
O: 0.208 0.043 0.393
Li: 0.083 0.917 0.750
O: 0.294 0.462 0.108
O: 0.629 0.126 0.108
O: 0.957 0.792 0.107
Li: 0.917 0.083 0.250
O: 0.706 0.538 0.892
Li: 0.729 0.271 0.750
Ir: 0.166 0.332 0.502
Ir: 0.332 0.166 0.002
O: 0.874 0.371 0.392
Ir: 0.500 0.000 0.500
Ir: 0.000 0.500 0.000
O: 0.126 0.629 0.608
Li: 0.271 0.729 0.250
O: 0.462 0.294 0.608
O: 0.792 0.957 0.607
Li: 0.409 0.591 0.750
Li: 0.591 0.409 0.250
O: 0.538 0.706 0.392
O: 0.043 0.208 0.893
Ir: 0.668 0.834 0.998
O: 0.371 0.874 0.892

Calculated values
Total energy after the MP2020 corrections in Ha/atom: -0.2401
Crystal system: monoclinic
Magnetization in μB per atom: 0.00
Space group: C2/c, No. 15
ΔH_f (0 K) in eV per formula unit: -5.49

---

No. 3
Li4Sc3InSi8O24: optimized geometry, PBE-GGA.

Cell: 6.737 7.485 9.674 Å, 102.75 101.75 96.28°
Fractional coordinates of all 40 atoms:
Si: 0.885 0.996 0.781
O: 0.135 0.554 0.896
O: 0.296 0.153 0.191
O: 0.115 0.993 0.868
O: 0.120 0.489 0.362
O: 0.627 0.486 0.865
Li: 0.252 0.749 0.500
O: 0.538 0.680 0.476
O: 0.841 0.208 0.842
Li: 0.749 0.751 0.999
O: 0.376 0.012 0.627
O: 0.866 0.448 0.104
O: 0.294 0.647 0.686
O: 0.464 0.818 0.026
Si: 0.114 0.005 0.218
O: 0.707 0.846 0.809
Si: 0.886 0.495 0.282
In: 0.395 0.928 0.822
Sc: 0.391 0.429 0.321
Si: 0.286 0.169 0.553
O: 0.373 0.514 0.135
O: 0.705 0.348 0.310
O: 0.539 0.186 0.981
Sc: 0.610 0.072 0.181
O: 0.134 0.054 0.395
O: 0.156 0.792 0.157
O: 0.843 0.708 0.343
O: 0.156 0.291 0.657
Si: 0.286 0.668 0.055
Sc: 0.608 0.569 0.678
O: 0.627 0.985 0.366
Si: 0.713 0.831 0.445
Si: 0.113 0.504 0.718
Li: 0.251 0.249 0.001
Li: 0.748 0.251 0.499
Si: 0.714 0.333 0.946
O: 0.880 0.511 0.638
O: 0.880 0.011 0.138
O: 0.462 0.320 0.523
O: 0.865 0.947 0.603

Calculated values
Total energy after the MP2020 corrections in Ha/atom: -0.2940
Crystal system: triclinic
Magnetization in μB per atom: 0.00
Space group: P1, No. 1
ΔH_f (0 K) in eV per formula unit: -128.44

---

Let's list energy in order: -7.760 -6.190 -7.587 eV/atom.
Let's list V in order: 81.5 244.4 459.7 Å³/cell.